(1)
# BaGdCuSe3 (PBE, relaxed)
data_BaGdCuSe3
_chemical_formula_sum 'Ba2 Gd2 Cu2 Se6'
_cell_length_a 7.3717
_cell_length_b 7.3717
_cell_length_c 10.7726
_cell_angle_alpha 90.00
_cell_angle_beta 90.00
_cell_angle_gamma 146.77
_symmetry_space_group_name_H-M 'P 1'
_symmetry_Int_Tables_number 1
loop_
_symmetry_equiv_pos_as_xyz
'x,y,z'
loop_
_atom_site_label
_atom_site_type_symbol
_atom_site_fract_x
_atom_site_fract_y
_atom_site_fract_z
Se1 Se 0.9284 0.0716 0.7500
Se2 Se 0.6330 0.3670 0.5659
Se3 Se 0.6330 0.3670 0.9341
Se4 Se 0.3670 0.6330 0.4341
Se5 Se 0.3670 0.6330 0.0659
Se6 Se 0.0716 0.9284 0.2500
Ba1 Ba 0.2512 0.7488 0.7500
Ba2 Ba 0.7488 0.2512 0.2500
Gd1 Gd 0.0000 0.0000 0.0000
Gd2 Gd 0.0000 0.0000 0.5000
Cu1 Cu 0.4725 0.5275 0.2500
Cu2 Cu 0.5275 0.4725 0.7500
# SG	Cmcm
# E (MP2020)	-83.04	eV per cell
# ΔE_f	-10.938	eV/f.u.
# uncorrected energy	-80.21	eV per cell
# mass density	6.16	g cm⁻³

=====

(2)
# BaTl2O4 (PBE, relaxed)
data_BaTl2O4
_chemical_formula_sum 'Ba2 Tl4 O8'
_cell_length_a 6.0533
_cell_length_b 6.0533
_cell_length_c 11.0559
_cell_angle_alpha 90.00
_cell_angle_beta 90.00
_cell_angle_gamma 145.48
_symmetry_space_group_name_H-M 'P 1'
_symmetry_Int_Tables_number 1
loop_
_symmetry_equiv_pos_as_xyz
'x,y,z'
loop_
_atom_site_label
_atom_site_type_symbol
_atom_site_fract_x
_atom_site_fract_y
_atom_site_fract_z
O1 O 0.2705 0.7295 0.1068
O2 O 0.0000 0.0000 0.5000
O3 O 0.0000 0.0000 0.0000
O4 O 0.5605 0.4395 0.2500
O5 O 0.7295 0.2705 0.6068
O6 O 0.7295 0.2705 0.8932
O7 O 0.2705 0.7295 0.3932
O8 O 0.4395 0.5605 0.7500
Tl1 Tl 0.3638 0.6362 0.5680
Tl2 Tl 0.6362 0.3638 0.4320
Tl3 Tl 0.3638 0.6362 0.9320
Tl4 Tl 0.6362 0.3638 0.0680
Ba1 Ba 0.1081 0.8919 0.7500
Ba2 Ba 0.8919 0.1081 0.2500
# SG	Cmcm
# E (MP2020)	-75.91	eV per cell
# ΔE_f	-11.520	eV/f.u.
# uncorrected energy	-70.42	eV per cell
# mass density	8.83	g cm⁻³
# relative energy among the computed polymorphs	0.164	eV per formula unit